1.
First-principles (PBE with a Hubbard U) data for a relaxed Ca2CoAs2H2O8 crystal, as listed in Materials Project.

a b c (Å): 5.5322 12.6452 6.0507
angles (deg): 90.00 110.05 90.00
Space group P2_1 (No. 4)
Symmetry-distinct sites (fractional):
1 Ca 0.0132 0.0000 0.4518
2 Ca 0.4647 0.2535 0.4128
3 Co 0.2858 0.9172 0.0656
4 As 0.1498 0.2616 0.7621
5 As 0.3104 0.5119 0.2077
6 H 0.0765 0.6348 0.9473
7 H 0.2614 0.0189 0.2188
8 O 0.0751 0.4206 0.1992
9 O 0.1428 0.8281 0.3251
10 O 0.1654 0.1733 0.5510
11 O 0.2175 0.2078 0.0339
12 O 0.2229 0.5890 0.9415
13 O 0.3160 0.5949 0.4293
14 O 0.3624 0.3599 0.7329
15 O 0.4130 0.9443 0.7700

Summary:
**Calculated total energy**: -5.928 eV per atom
**M_tot**: 3.00 μB/f.u.

***

2.
First-principles (PBE with a Hubbard U) data for a relaxed LaCrS2O crystal, as listed in Materials Project.

a b c (Å): 8.5288 3.7574 11.2990
angles (deg): 90.00 90.00 90.00
Space group Pnma (No. 62)
Symmetry-distinct sites (fractional):
1 La 0.0462 0.2500 0.1478
2 Cr 0.1697 0.2500 0.4715
3 S 0.0972 0.7500 0.6018
4 S 0.2425 0.7500 0.3309
5 O 0.1127 0.7500 0.0364

Summary:
**Calculated total energy**: -7.074 eV per atom
**M_tot**: 3.00 μB/f.u.

***

3.
First-principles (PBE with a Hubbard U) data for a relaxed LaCrSbO6 crystal, as listed in Materials Project.

a b c (Å): 5.4775 5.4847 5.5139
angles (deg): 90.20 119.46 119.79
Space group P1 (No. 1)
Symmetry-distinct sites (fractional):
1 La 0.0000 0.0000 0.0000
2 Cr 0.4954 0.7456 0.2451
3 Sb 0.5011 0.2486 0.7453
4 O 0.9995 0.4871 0.9306
5 O 0.0026 0.0037 0.5686
6 O 0.4232 0.9573 0.4447
7 O 0.4338 0.4566 0.4404
8 O 0.5655 0.0245 0.0284
9 O 0.5793 0.5542 0.0237

Summary:
**Calculated total energy**: -7.084 eV per atom
**M_tot**: 2.00 μB/f.u.

***

4.
First-principles (PBE with a Hubbard U) data for a relaxed Li5Mn3O8 crystal, as listed in Materials Project.

a b c (Å): 5.8046 5.8608 8.3636
angles (deg): 90.47 90.06 91.04
Space group P1 (No. 1)
Symmetry-distinct sites (fractional):
1 Li 0.0000 0.0000 0.0000
2 Li 0.0004 0.0025 0.4967
3 Li 0.2486 0.2480 0.7495
4 Li 0.2533 0.7507 0.2538
5 Li 0.4961 0.4979 0.4963
6 Li 0.4991 0.4978 0.0005
7 Li 0.5045 0.9947 0.4948
8 Li 0.7468 0.2459 0.7437
9 Li 0.7478 0.7525 0.2556
10 Li 0.9991 0.5000 0.0019
11 Mn 0.2515 0.7503 0.7458
12 Mn 0.2527 0.2466 0.2474
13 Mn 0.4989 0.9998 0.0004
14 Mn 0.7482 0.2474 0.2521
15 Mn 0.7481 0.7490 0.7454
16 Mn 0.9960 0.5002 0.4968
17 O 0.0031 0.9709 0.7464
18 O 0.2265 0.2738 0.4893
19 O 0.2339 0.7354 0.5132
20 O 0.2571 0.7567 0.9761
21 O 0.2632 0.2333 0.0079
22 O 0.4960 0.5262 0.7459
23 O 0.5033 0.9733 0.7336
24 O 0.5041 0.4721 0.2500
25 O 0.5250 0.0034 0.2606
26 O 0.7367 0.7634 0.9728
27 O 0.7418 0.2400 0.0207
28 O 0.7611 0.2648 0.4872
29 O 0.7640 0.7332 0.5154
30 O 0.9790 0.5019 0.2659
31 O 0.9964 0.5179 0.7374
32 O 0.9970 0.0274 0.2497

Summary:
**Polymorph energy (0 for the lowest one)**: 18.2 meV/atom
**Calculated total energy**: -6.264 eV per atom
**M_tot**: 10.00 μB/f.u.

***

5.
First-principles (PBE with a Hubbard U) data for a relaxed Ba2NdVO6 crystal, as listed in Materials Project.

a b c (Å): 8.4997 8.4997 8.4997
angles (deg): 90.00 90.00 90.00
Space group Pn-3 (No. 201, origin choice 2)
Symmetry-distinct sites (fractional):
1 Ba 0.2500 0.2500 0.2500
2 Ba 0.2500 0.2500 0.7500
3 Nd 0.0000 0.0000 0.0000
4 V 0.0000 0.0000 0.5000
5 O 0.0108 0.5115 0.7746

Summary:
**Calculated total energy**: -7.232 eV per atom
**M_tot**: 0.00 μB/f.u.

***

6.
First-principles (PBE with a Hubbard U) data for a relaxed LiMnF4 crystal, as listed in Materials Project.

a b c (Å): 7.5619 15.6556 7.9019
angles (deg): 90.00 104.20 90.00
Space group P2_1 (No. 4)
Symmetry-distinct sites (fractional):
1 Li 0.1273 0.0000 0.0993
2 Li 0.1416 0.6921 0.0982
3 Li 0.1802 0.3280 0.0896
4 Li 0.3419 0.1544 0.9176
5 Li 0.3461 0.8553 0.9148
6 Li 0.3540 0.5153 0.9043
7 Mn 0.0397 0.6751 0.6867
8 Mn 0.0446 0.0076 0.6736
9 Mn 0.0476 0.3399 0.6746
10 Mn 0.4502 0.8438 0.3204
11 Mn 0.4537 0.5064 0.3129
12 Mn 0.4634 0.1748 0.3306
13 F 0.0219 0.7488 0.8878
14 F 0.0343 0.6063 0.4578
15 F 0.0525 0.4031 0.8831
16 F 0.0534 0.4435 0.5495
17 F 0.0557 0.2745 0.4743
18 F 0.0565 0.2394 0.8022
19 F 0.1110 0.9076 0.7917
20 F 0.1258 0.5807 0.8503
21 F 0.1436 0.0710 0.8938
22 F 0.1932 0.5089 0.2439
23 F 0.1942 0.1333 0.3292
24 F 0.2358 0.8402 0.3943
25 F 0.2759 0.7156 0.7027
26 F 0.2895 0.0110 0.6116
27 F 0.3337 0.3480 0.7532
28 F 0.3365 0.9222 0.1235
29 F 0.3597 0.2307 0.1136
30 F 0.3718 0.7505 0.1518
31 F 0.4313 0.2730 0.4591
32 F 0.4356 0.4048 0.1399
33 F 0.4377 0.6199 0.4564
34 F 0.4501 0.4415 0.5146
35 F 0.4641 0.5773 0.1208
36 F 0.4861 0.0770 0.2058

Summary:
**Calculated total energy**: -5.406 eV per atom
**M_tot**: 4.00 μB/f.u.